*1*
First-principles (PBE with a Hubbard U) data for a relaxed structure of Ca2V3O8, as listed in the Materials Project.

Cell: 6.066 6.062 10.564 Å, 90.02 90.02 60.04°
Fractional coordinates of all 26 atoms:
Ca  0.334  0.334  0.024
Ca  0.667  0.667  0.524
Ca  0.333  0.334  0.432
Ca  0.668  0.666  0.931
V  0.839  0.327  0.245
V  0.160  0.673  0.746
V  0.327  0.833  0.246
V  0.834  0.839  0.246
V  0.673  0.167  0.745
V  0.167  0.159  0.746
O  0.000  0.000  0.345
O  0.999  0.000  0.845
O  0.667  0.667  0.145
O  0.333  0.333  0.645
O  0.689  0.139  0.155
O  0.860  0.829  0.655
O  0.829  0.311  0.655
O  0.172  0.690  0.154
O  0.138  0.172  0.155
O  0.310  0.860  0.654
O  0.047  0.461  0.849
O  0.538  0.507  0.349
O  0.507  0.955  0.349
O  0.493  0.046  0.849
O  0.461  0.494  0.849
O  0.954  0.539  0.349

Calculated volume: 336.5 Å³/cell

---

*2*
First-principles (PBE with a Hubbard U) data for a relaxed structure of Ca2V3O8, as listed in the Materials Project.

Cell: 6.443 6.443 4.970 Å, 71.64 71.64 57.98°
Fractional coordinates of all 13 atoms:
Ca  0.724  0.724  0.338
Ca  0.276  0.276  0.662
V  0.000  0.000  0.500
V  0.731  0.269  0.000
V  0.269  0.731  0.000
O  0.396  0.396  0.955
O  0.604  0.604  0.045
O  0.901  0.901  0.895
O  0.099  0.099  0.105
O  0.324  0.886  0.612
O  0.886  0.324  0.612
O  0.114  0.676  0.388
O  0.676  0.114  0.388

Calculated volume: 163.2 Å³/cell

---

The most stable of them is *2*.

---

*1*
First-principles (PBE with a Hubbard U) data for a relaxed structure of CaV2O6, as listed in the Materials Project.

Cell: 3.698 5.555 7.267 Å, 102.05 90.00 109.44°
Fractional coordinates of all 9 atoms:
Ca  0.000  0.000  0.000
V  0.241  0.483  0.672
V  0.759  0.517  0.328
O  0.756  0.511  0.603
O  0.244  0.489  0.397
O  0.368  0.736  0.867
O  0.101  0.201  0.741
O  0.632  0.264  0.133
O  0.899  0.799  0.259

Calculated volume: 137.3 Å³/cell

---

*2*
First-principles (PBE with a Hubbard U) data for a relaxed structure of CaV2O6, as listed in the Materials Project.

Cell: 5.446 5.488 7.312 Å, 90.00 90.00 90.00°
Fractional coordinates of all 18 atoms:
Ca  0.520  0.302  0.500
Ca  0.020  0.698  0.000
V  0.040  0.232  0.757
V  0.540  0.768  0.257
V  0.540  0.768  0.743
V  0.040  0.232  0.243
O  0.207  0.966  0.217
O  0.263  0.456  0.778
O  0.707  0.034  0.283
O  0.763  0.544  0.722
O  0.763  0.544  0.278
O  0.707  0.034  0.717
O  0.263  0.456  0.222
O  0.207  0.966  0.783
O  0.039  0.240  0.500
O  0.429  0.739  0.500
O  0.929  0.261  0.000
O  0.539  0.760  0.000

Calculated volume: 218.5 Å³/cell

---

The most stable of them is *1*.

---

*1*
First-principles (PBE with a Hubbard U) data for a relaxed structure of CaW2O5, as listed in the Materials Project.

Cell: 5.896 5.896 11.768 Å, 90.00 90.00 137.66°
Fractional coordinates of all 16 atoms:
Ca  0.100  0.900  0.750
Ca  0.900  0.100  0.250
W  0.794  0.206  0.595
W  0.206  0.794  0.405
W  0.206  0.794  0.095
W  0.794  0.206  0.905
O  0.297  0.703  0.250
O  0.703  0.297  0.750
O  0.743  0.257  0.073
O  0.257  0.743  0.927
O  0.257  0.743  0.573
O  0.743  0.257  0.427
O  0.961  0.039  0.619
O  0.039  0.961  0.381
O  0.961  0.039  0.881
O  0.039  0.961  0.119

Calculated volume: 275.6 Å³/cell

---

*2*
First-principles (PBE with a Hubbard U) data for a relaxed structure of CaW2O5, as listed in the Materials Project.

Cell: 3.631 5.162 13.196 Å, 90.00 90.00 90.00°
Fractional coordinates of all 16 atoms:
Ca  0.000  0.955  0.000
Ca  0.500  0.045  0.500
W  0.500  0.473  0.854
W  0.000  0.527  0.646
W  0.000  0.527  0.354
W  0.500  0.473  0.146
O  0.000  0.369  0.500
O  0.500  0.631  0.000
O  0.000  0.611  0.813
O  0.500  0.389  0.687
O  0.000  0.611  0.187
O  0.500  0.389  0.313
O  0.500  0.118  0.109
O  0.000  0.882  0.391
O  0.000  0.882  0.609
O  0.500  0.118  0.891

Calculated volume: 247.3 Å³/cell

---

The most stable of them is *2*.

---

*1*
First-principles (PBE with a Hubbard U) data for a relaxed structure of CaW4O8, as listed in the Materials Project.

Cell: 3.345 7.285 7.330 Å, 88.29 101.04 101.73°
Fractional coordinates of all 13 atoms:
Ca  0.521  0.014  0.023
W  0.169  0.824  0.561
W  0.383  0.527  0.210
W  0.653  0.473  0.857
W  0.863  0.176  0.503
O  0.479  0.287  0.634
O  0.172  0.618  0.759
O  0.878  0.390  0.318
O  0.555  0.712  0.422
O  0.802  0.964  0.714
O  0.879  0.679  0.087
O  0.224  0.048  0.348
O  0.149  0.311  0.995

Calculated volume: 171.6 Å³/cell

---

*2*
First-principles (PBE with a Hubbard U) data for a relaxed structure of CaW4O8, as listed in the Materials Project.

Cell: 6.666 6.666 6.666 Å, 58.92 58.92 58.92°
Fractional coordinates of all 13 atoms:
Ca  0.500  0.500  0.500
W  0.000  0.500  0.500
W  0.500  0.000  0.500
W  0.500  0.500  0.000
W  0.000  0.000  0.000
O  0.281  0.762  0.762
O  0.238  0.238  0.719
O  0.719  0.238  0.238
O  0.238  0.719  0.238
O  0.279  0.279  0.279
O  0.721  0.721  0.721
O  0.762  0.281  0.762
O  0.762  0.762  0.281

Calculated volume: 204.3 Å³/cell

---

The most stable of them is *1*.

---

*1*
First-principles (PBE with a Hubbard U) data for a relaxed structure of MgCd2Co4O8, as listed in the Materials Project.

Cell: 5.899 6.381 6.201 Å, 60.27 91.26 118.27°
Fractional coordinates of all 15 atoms:
Mg  0.769  0.539  0.230
Cd  0.068  0.135  0.933
Cd  0.714  0.429  0.785
Co  0.288  0.148  0.435
Co  0.861  0.150  0.416
Co  0.379  0.759  0.366
Co  0.380  0.759  0.875
O  0.184  0.349  0.122
O  0.596  0.187  0.201
O  0.616  0.785  0.112
O  0.169  0.784  0.103
O  0.591  0.187  0.612
O  0.166  0.349  0.529
O  0.159  0.740  0.624
O  0.582  0.741  0.636

Calculated volume: 171.5 Å³/cell

---

*2*
First-principles (PBE with a Hubbard U) data for a relaxed structure of MgCd2Co4O8, as listed in the Materials Project.

Cell: 6.885 5.922 6.019 Å, 61.90 76.95 112.35°
Fractional coordinates of all 15 atoms:
Mg  0.379  0.271  0.859
Cd  0.881  0.918  0.092
Cd  0.870  0.615  0.659
Co  0.378  0.252  0.371
Co  0.872  0.254  0.375
Co  0.370  0.753  0.359
Co  0.371  0.757  0.879
O  0.151  0.268  0.157
O  0.556  0.228  0.100
O  0.557  0.723  0.072
O  0.123  0.730  0.180
O  0.595  0.244  0.585
O  0.189  0.276  0.635
O  0.204  0.784  0.657
O  0.627  0.782  0.551

Calculated volume: 173.8 Å³/cell

---

The most stable of them is *2*.

---

*1*
First-principles (PBE with a Hubbard U) data for a relaxed structure of MgCd2Co4O8, as listed in the Materials Project.

Cell: 6.508 6.370 6.049 Å, 63.41 85.87 118.42°
Fractional coordinates of all 15 atoms:
Mg  0.263  0.461  0.740
Cd  0.913  0.851  0.097
Cd  0.813  0.606  0.732
Co  0.350  0.280  0.338
Co  0.897  0.264  0.368
Co  0.424  0.894  0.263
Co  0.440  0.889  0.815
O  0.127  0.235  0.129
O  0.619  0.291  0.171
O  0.540  0.717  0.131
O  0.155  0.714  0.133
O  0.647  0.270  0.631
O  0.122  0.208  0.612
O  0.208  0.781  0.611
O  0.616  0.811  0.595

Calculated volume: 183.8 Å³/cell

---

*2*
First-principles (PBE with a Hubbard U) data for a relaxed structure of MgCd2Co4O8, as listed in the Materials Project.

Cell: 6.021 6.334 6.226 Å, 60.56 90.00 118.38°
Fractional coordinates of all 15 atoms:
Mg  0.774  0.547  0.226
Cd  0.065  0.129  0.935
Cd  0.719  0.439  0.781
Co  0.304  0.170  0.415
Co  0.866  0.170  0.415
Co  0.377  0.755  0.371
Co  0.377  0.755  0.875
O  0.169  0.338  0.127
O  0.593  0.186  0.201
O  0.609  0.776  0.112
O  0.167  0.776  0.112
O  0.593  0.186  0.613
O  0.169  0.338  0.535
O  0.162  0.739  0.631
O  0.577  0.739  0.631

Calculated volume: 173.3 Å³/cell

---

The most stable of them is *1*.

---

*1*
First-principles (PBE with a Hubbard U) data for a relaxed structure of MgCd2Co4O8, as listed in the Materials Project.

Cell: 6.518 6.061 5.866 Å, 61.06 90.00 119.48°
Fractional coordinates of all 15 atoms:
Mg  0.371  0.185  0.907
Cd  0.883  0.159  0.920
Cd  0.919  0.823  0.589
Co  0.403  0.228  0.386
Co  0.848  0.325  0.337
Co  0.369  0.692  0.401
Co  0.369  0.692  0.907
O  0.184  0.245  0.142
O  0.581  0.150  0.189
O  0.564  0.696  0.152
O  0.175  0.712  0.144
O  0.581  0.150  0.661
O  0.184  0.245  0.613
O  0.164  0.669  0.666
O  0.543  0.656  0.672

Calculated volume: 167.7 Å³/cell

---

*2*
First-principles (PBE with a Hubbard U) data for a relaxed structure of MgCd2Co4O8, as listed in the Materials Project.

Cell: 7.249 6.510 7.249 Å, 56.16 90.00 123.84°
Fractional coordinates of all 15 atoms:
Mg  0.500  0.000  0.500
Cd  0.000  0.000  0.000
Cd  0.750  0.500  0.750
Co  0.302  0.249  0.376
Co  0.947  0.249  0.376
Co  0.376  0.751  0.302
Co  0.376  0.751  0.947
O  0.141  0.282  0.138
O  0.594  0.188  0.158
O  0.581  0.718  0.141
O  0.138  0.718  0.141
O  0.594  0.188  0.654
O  0.141  0.282  0.581
O  0.158  0.812  0.594
O  0.654  0.812  0.594

Calculated volume: 210.9 Å³/cell

---

The most stable of them is *1*.

---

*1*
First-principles (PBE with a Hubbard U) data for a relaxed structure of MgCd2Co2O6, as listed in the Materials Project.

Cell: 6.220 6.220 6.220 Å, 48.16 48.16 48.16°
Fractional coordinates of all 11 atoms:
Mg  0.500  0.500  0.500
Cd  0.333  0.333  0.333
Cd  0.667  0.667  0.667
Co  0.161  0.161  0.161
Co  0.839  0.839  0.839
O  0.081  0.780  0.445
O  0.555  0.919  0.220
O  0.220  0.555  0.919
O  0.780  0.445  0.081
O  0.445  0.081  0.780
O  0.919  0.220  0.555

Calculated volume: 122.4 Å³/cell

---

*2*
First-principles (PBE with a Hubbard U) data for a relaxed structure of MgCd2Co2O6, as listed in the Materials Project.

Cell: 5.784 5.776 5.780 Å, 55.18 55.14 55.15°
Fractional coordinates of all 11 atoms:
Mg  0.798  0.799  0.798
Cd  0.350  0.351  0.350
Cd  0.584  0.584  0.583
Co  0.151  0.152  0.151
Co  0.977  0.978  0.977
O  0.024  0.813  0.352
O  0.570  0.951  0.160
O  0.161  0.571  0.949
O  0.812  0.353  0.025
O  0.352  0.025  0.813
O  0.950  0.161  0.571

Calculated volume: 121.2 Å³/cell

---

The most stable of them is *2*.

---

*1*
First-principles (PBE with a Hubbard U) data for a relaxed structure of MgCd2Co2O6, as listed in the Materials Project.

Cell: 5.776 5.903 5.856 Å, 54.44 55.09 54.41°
Fractional coordinates of all 11 atoms:
Mg  0.801  0.798  0.797
Cd  0.355  0.356  0.351
Cd  0.594  0.601  0.598
Co  0.155  0.142  0.162
Co  0.976  0.977  0.973
O  0.009  0.806  0.360
O  0.566  0.959  0.154
O  0.152  0.583  0.954
O  0.814  0.359  0.005
O  0.366  0.998  0.796
O  0.940  0.161  0.579

Calculated volume: 123.6 Å³/cell

---

*2*
First-principles (PBE with a Hubbard U) data for a relaxed structure of MgCd2Co2O6, as listed in the Materials Project.

Cell: 5.922 5.914 5.928 Å, 54.07 54.04 54.12°
Fractional coordinates of all 11 atoms:
Mg  0.000  0.000  0.000
Cd  0.377  0.377  0.377
Cd  0.623  0.623  0.623
Co  0.177  0.176  0.176
Co  0.823  0.824  0.824
O  0.030  0.818  0.413
O  0.585  0.970  0.183
O  0.182  0.585  0.970
O  0.818  0.415  0.030
O  0.415  0.030  0.817
O  0.970  0.182  0.587

Calculated volume: 126.5 Å³/cell

---

The most stable of them is *1*.